VASP calculation (PBE-GGA) on a relaxed TbCuGe crystal.

a b c (Å): 4.2680 4.2680 7.3119
angles (deg): 90.00 90.00 120.00
Space group P6_3mc (No. 186)
Unique sites:
Tb  0.0000  0.0000  0.0000 [2 per cell]
Cu  0.3333  0.6667  0.2775 [2 per cell]
Ge  0.3333  0.6667  0.7268 [2 per cell]

Uncorrected energy = -5.1413 eV/atom
Energy of formation from the pure elements = -0.689 eV per atom


VASP calculation (PBE-GGA) on a relaxed TbCuGe crystal.

a b c (Å): 4.2426 4.2426 3.7444
angles (deg): 90.00 90.00 120.00
Space group P-6m2 (No. 187)
Unique sites:
Tb  0.0000  0.0000  0.0000 [1 per cell]
Cu  0.3333  0.6667  0.5000 [1 per cell]
Ge  0.6667  0.3333  0.5000 [1 per cell]

Uncorrected energy = -5.0944 eV/atom
Energy of formation from the pure elements = -0.642 eV per atom


VASP calculation (PBE-GGA) on a relaxed Tb2CuGe4 crystal.

a b c (Å): 4.0568 4.0810 16.9018
angles (deg): 90.00 90.00 90.00
Space group Amm2 (No. 38)
Unique sites:
Tb  0.0000  0.0000  0.0000 [2 per cell]
Tb  0.5000  0.0000  0.2110 [2 per cell]
Cu  0.0000  0.0000  0.7841 [2 per cell]
Ge  0.0000  0.0000  0.3661 [2 per cell]
Ge  0.0000  0.0000  0.6454 [2 per cell]
Ge  0.5000  0.0000  0.5558 [2 per cell]
Ge  0.5000  0.0000  0.8646 [2 per cell]

Uncorrected energy = -5.1408 eV/atom
Energy of formation from the pure elements = -0.589 eV per atom


VASP calculation (PBE-GGA) on a relaxed TbCuGe crystal.

a b c (Å): 4.3011 4.3011 7.5452
angles (deg): 90.00 90.00 120.00
Space group P-3m1 (No. 164)
Unique sites:
Tb  0.0000  0.0000  0.2379 [2 per cell]
Cu  0.3333  0.6667  0.0029 [2 per cell]
Ge  0.3333  0.6667  0.4801 [2 per cell]

Uncorrected energy = -4.8272 eV/atom
Energy of formation from the pure elements = -0.375 eV per atom